Entry 1:
Entry from Materials Project: a relaxed Li2Fe2S3O12 crystal (PBE with a Hubbard U).

The calculation puts the energy of formation from the pure elements at -38.32 eV/f.u. For the magnetic moment, the calculation gives 8.000 μB/f.u. The space-group type is Pbcn. For the polymorph energy (0 for the lowest one), the calculation gives 0 meV/atom. For the electronic total energy, the calculation gives -6.22 eV/atom.

abc: 12.478 8.716 8.897
angles: 90.00 90.00 90.00
Element x y z (fractional)
Li 0.182 0.218 0.224
Li 0.182 0.782 0.724
Li 0.318 0.282 0.724
Li 0.318 0.718 0.224
Li 0.682 0.282 0.776
Li 0.682 0.718 0.276
Li 0.818 0.218 0.276
Li 0.818 0.782 0.776
Fe 0.111 0.252 0.541
Fe 0.111 0.748 0.041
Fe 0.389 0.248 0.041
Fe 0.389 0.752 0.541
Fe 0.611 0.248 0.459
Fe 0.611 0.752 0.959
Fe 0.889 0.252 0.959
Fe 0.889 0.748 0.459
S 0.000 0.457 0.250
S 0.000 0.543 0.750
S 0.146 0.101 0.895
S 0.146 0.899 0.395
S 0.354 0.399 0.395
S 0.354 0.601 0.895
S 0.500 0.043 0.750
S 0.500 0.957 0.250
S 0.646 0.399 0.105
S 0.646 0.601 0.605
S 0.854 0.101 0.605
S 0.854 0.899 0.105
O 0.034 0.136 0.924
O 0.034 0.864 0.424
O 0.057 0.451 0.637
O 0.057 0.549 0.137
O 0.081 0.356 0.325
O 0.081 0.644 0.825
O 0.162 0.070 0.391
O 0.162 0.930 0.891
O 0.183 0.166 0.748
O 0.183 0.834 0.248
O 0.216 0.166 0.018
O 0.216 0.834 0.518
O 0.284 0.334 0.518
O 0.284 0.666 0.018
O 0.317 0.334 0.248
O 0.317 0.666 0.748
O 0.338 0.430 0.891
O 0.338 0.570 0.391
O 0.419 0.144 0.825
O 0.419 0.856 0.325
O 0.443 0.049 0.137
O 0.443 0.951 0.637
O 0.466 0.364 0.424
O 0.466 0.636 0.924
O 0.534 0.364 0.076
O 0.534 0.636 0.576
O 0.557 0.049 0.363
O 0.557 0.951 0.863
O 0.581 0.144 0.675
O 0.581 0.856 0.175
O 0.662 0.430 0.609
O 0.662 0.570 0.109
O 0.683 0.334 0.252
O 0.683 0.666 0.752
O 0.716 0.334 0.982
O 0.716 0.666 0.482
O 0.784 0.166 0.482
O 0.784 0.834 0.982
O 0.817 0.166 0.752
O 0.817 0.834 0.252
O 0.838 0.070 0.109
O 0.838 0.930 0.609
O 0.919 0.356 0.175
O 0.919 0.644 0.675
O 0.943 0.451 0.863
O 0.943 0.549 0.363
O 0.966 0.136 0.576
O 0.966 0.864 0.076

Entry 2:
Entry from Materials Project: a relaxed Li4Fe3Sb5O16 crystal (PBE with a Hubbard U).

The calculation puts the energy of formation from the pure elements at -53.40 eV/f.u. For the magnetic moment, the calculation gives 13.000 μB/f.u. The space-group type is P1. For the polymorph energy (0 for the lowest one), the calculation gives 0 meV/atom. For the electronic total energy, the calculation gives -6.02 eV/atom.

abc: 6.234 6.243 10.358
angles: 90.29 90.26 118.86
Element x y z (fractional)
Li 0.000 0.000 0.000
Li 0.005 0.010 0.511
Li 0.343 0.678 0.613
Li 0.681 0.361 0.106
Fe 0.172 0.340 0.288
Fe 0.335 0.164 0.787
Fe 0.830 0.165 0.786
Sb 0.172 0.838 0.286
Sb 0.311 0.640 0.992
Sb 0.652 0.305 0.522
Sb 0.668 0.836 0.286
Sb 0.828 0.659 0.783
O 0.035 0.537 0.176
O 0.136 0.821 0.895
O 0.142 0.304 0.902
O 0.300 0.135 0.400
O 0.349 0.694 0.395
O 0.493 0.991 0.184
O 0.507 0.534 0.181
O 0.528 0.498 0.669
O 0.530 0.039 0.664
O 0.687 0.352 0.892
O 0.690 0.839 0.891
O 0.835 0.135 0.397
O 0.861 0.710 0.392
O 0.972 0.484 0.673
O 0.984 0.983 0.689
O 0.994 0.989 0.181

Entry 3:
Entry from Materials Project: a relaxed Li4Fe5SbO12 crystal (PBE with a Hubbard U).

The calculation puts the energy of formation from the pure elements at -40.37 eV/f.u. For the magnetic moment, the calculation gives 25.005 μB/f.u. The space-group type is C2/m. For the electronic total energy, the calculation gives -6.11 eV/atom.

abc: 5.199 5.199 10.419
angles: 92.12 92.12 120.15
Element x y z (fractional)
Li 0.027 0.364 0.214
Li 0.364 0.027 0.214
Li 0.636 0.973 0.786
Li 0.973 0.636 0.786
Fe 0.000 0.000 0.000
Fe 0.165 0.835 0.500
Fe 0.337 0.663 0.000
Fe 0.663 0.337 0.000
Fe 0.835 0.165 0.500
Sb 0.500 0.500 0.500
O 0.027 0.682 0.108
O 0.145 0.485 0.403
O 0.173 0.173 0.593
O 0.318 0.973 0.892
O 0.337 0.337 0.108
O 0.485 0.145 0.403
O 0.515 0.855 0.597
O 0.663 0.663 0.892
O 0.682 0.027 0.108
O 0.827 0.827 0.407
O 0.855 0.515 0.597
O 0.973 0.318 0.892

Entry 4:
Entry from Materials Project: a relaxed Li4Fe5Sb3O16 crystal (PBE with a Hubbard U).

The calculation puts the energy of formation from the pure elements at -53.21 eV/f.u. For the magnetic moment, the calculation gives 23.000 μB/f.u. The space-group type is Cm. For the electronic total energy, the calculation gives -6.16 eV/atom.

abc: 6.158 6.158 9.813
angles: 90.66 90.66 59.59
Element x y z (fractional)
Li 0.000 0.000 0.000
Li 0.002 0.002 0.511
Li 0.330 0.330 0.620
Li 0.666 0.666 0.106
Fe 0.159 0.159 0.285
Fe 0.315 0.315 0.001
Fe 0.336 0.818 0.786
Fe 0.646 0.646 0.515
Fe 0.818 0.336 0.786
Sb 0.161 0.653 0.286
Sb 0.653 0.161 0.286
Sb 0.820 0.820 0.789
O 0.035 0.488 0.161
O 0.146 0.668 0.905
O 0.156 0.156 0.905
O 0.301 0.820 0.399
O 0.333 0.333 0.400
O 0.478 0.478 0.165
O 0.488 0.035 0.161
O 0.508 0.508 0.674
O 0.512 0.961 0.670
O 0.662 0.662 0.901
O 0.668 0.146 0.905
O 0.820 0.301 0.399
O 0.833 0.833 0.397
O 0.961 0.512 0.670
O 0.983 0.983 0.182
O 0.988 0.988 0.695

> The highest magnetic moment belongs to which entry?

Li4Fe5SbO12

What did the third record say?
Entry from Materials Project: a relaxed Li4Fe5SbO12 crystal (PBE with a Hubbard U).

The calculation puts the energy of formation from the pure elements at -40.37 eV/f.u. For the magnetic moment, the calculation gives 25.005 μB/f.u. The space-group type is C2/m. For the electronic total energy, the calculation gives -6.11 eV/atom.

abc: 5.199 5.199 10.419
angles: 92.12 92.12 120.15
Element x y z (fractional)
Li 0.027 0.364 0.214
Li 0.364 0.027 0.214
Li 0.636 0.973 0.786
Li 0.973 0.636 0.786
Fe 0.000 0.000 0.000
Fe 0.165 0.835 0.500
Fe 0.337 0.663 0.000
Fe 0.663 0.337 0.000
Fe 0.835 0.165 0.500
Sb 0.500 0.500 0.500
O 0.027 0.682 0.108
O 0.145 0.485 0.403
O 0.173 0.173 0.593
O 0.318 0.973 0.892
O 0.337 0.337 0.108
O 0.485 0.145 0.403
O 0.515 0.855 0.597
O 0.663 0.663 0.892
O 0.682 0.027 0.108
O 0.827 0.827 0.407
O 0.855 0.515 0.597
O 0.973 0.318 0.892

> What is the electronic total energy in the first record?

-6.22 eV/atom